Entry 1:
## Nd2Sb (PBE)

Data for a relaxed structure of Nd2Sb.

Computed properties:
Uncorrected energy, eV/atom: -5.404

abc: 4.5833 4.5833 17.7749
angles: 90.00 90.00 90.00
Space group I4/mmm (No. 139)
One atom of each set of equivalent atoms:
Nd1 0.0000 0.0000 0.1790 [4 per cell]
Nd2 0.0000 0.5000 0.0000 [4 per cell]
Sb1 0.0000 0.0000 0.3616 [4 per cell]

---

Entry 2:
## La2MgSe4 (PBE)

Data for a relaxed structure of La2MgSe4.

Computed properties:
Uncorrected energy, eV/atom: -5.356
Excess energy over the best structure of this formula in the dataset, meV/atom: 40

abc: 12.1525 12.1525 12.1525
angles: 90.00 90.00 90.00
Space group Fd-3m (No. 227, origin choice 2)
One atom of each set of equivalent atoms:
La1 0.0000 0.0000 0.0000 [16 per cell]
Mg1 0.1250 0.1250 0.6250 [8 per cell]
Se1 0.0018 0.0018 0.2482 [32 per cell]